Arrangement one

Crystalline Li2TiVO4 at its relaxed geometry. Source: the Materials Project, functional GGA+U.

Cell: 4.1340 15.1103 5.2205 Å, 98.48 66.67 90.00°
Atoms (fractional coordinates):
Li 0.3107 0.9374 0.3786
Li 0.8109 0.4373 0.3783
Li 0.0618 0.1867 0.8764
Li 0.5613 0.6870 0.8774
Li 0.6260 0.8755 0.7480
Li 0.1260 0.3755 0.7481
Li 0.3753 0.1248 0.2495
Li 0.8754 0.6250 0.2491
Ti 0.6866 0.0614 0.6268
Ti 0.1865 0.5615 0.6270
Ti 0.4395 0.3141 0.1211
Ti 0.9392 0.8143 0.1217
V 0.4978 0.4989 0.0044
V 0.2501 0.7502 0.4997
V 0.9983 0.9989 0.0034
V 0.7501 0.2500 0.4998
O 0.8574 0.1207 0.2853
O 0.3575 0.6210 0.2851
O 0.6132 0.3692 0.7736
O 0.1133 0.8692 0.7734
O 0.5161 0.0056 0.9677
O 0.0159 0.5057 0.9681
O 0.2670 0.2551 0.4659
O 0.7670 0.7553 0.4659
O 0.8131 0.9382 0.3738
O 0.3129 0.4383 0.3742
O 0.5660 0.1883 0.8681
O 0.0660 0.6884 0.8679
O 0.1842 0.0611 0.6316
O 0.6840 0.5612 0.6320
O 0.9355 0.3120 0.1290
O 0.4355 0.8122 0.1290


Arrangement two

Crystalline Li2TiVO4 at its relaxed geometry. Source: the Materials Project, functional GGA+U.

Summary:
**SG**: Cm, No. 8

Cell: 5.9894 5.9894 10.3677 Å, 106.43 106.43 59.55°
Atoms (fractional coordinates):
Li 0.0000 0.0000 0.0000
Li 0.9999 0.5015 0.4987
Li 0.2502 0.2502 0.2501
Li 0.4998 0.4998 0.4986
Li 0.5008 0.9978 0.0006
Li 0.5015 0.9999 0.4987
Li 0.7512 0.7512 0.7505
Li 0.9978 0.5008 0.0006
Ti 0.2471 0.7494 0.2519
Ti 0.2512 0.7534 0.7470
Ti 0.7494 0.2471 0.2519
Ti 0.7534 0.2512 0.7470
V 0.0036 0.0036 0.5037
V 0.2520 0.2520 0.7517
V 0.4977 0.4977 0.9990
V 0.7469 0.7469 0.2470
O 0.1163 0.1163 0.8655
O 0.1174 0.1174 0.3657
O 0.1286 0.6367 0.3675
O 0.1436 0.6297 0.8720
O 0.3695 0.8544 0.1261
O 0.3713 0.8700 0.6343
O 0.3836 0.3836 0.1321
O 0.3851 0.3851 0.6334
O 0.6153 0.6153 0.3660
O 0.6150 0.6150 0.8684
O 0.6297 0.1436 0.8720
O 0.6367 0.1286 0.3675
O 0.8544 0.3695 0.1261
O 0.8700 0.3713 0.6343
O 0.8834 0.8834 0.1337
O 0.8837 0.8837 0.6347


Going by the energies, arrangement two is most stable and the next is 0.012 eV/atom up.


Arrangement one

Crystalline Na3Ni2P2C2O14 at its relaxed geometry. Source: the Materials Project, functional GGA+U.

Summary:
**SG**: P-1, No. 2

Cell: 6.4949 10.2075 10.3185 Å, 61.19 89.85 88.98°
Atoms (fractional coordinates):
Na 0.0093 0.2544 0.4906
Na 0.0322 0.2490 0.9963
Na 0.4844 0.2538 0.4941
Na 0.5156 0.7462 0.5059
Na 0.9678 0.7510 0.0037
Na 0.9907 0.7456 0.5094
Ni 0.2535 0.8477 0.6873
Ni 0.2540 0.8455 0.1825
Ni 0.7460 0.1545 0.8175
Ni 0.7465 0.1523 0.3127
P 0.2482 0.0702 0.3231
P 0.2494 0.0725 0.8224
P 0.7506 0.9275 0.1776
P 0.7518 0.9298 0.6769
C 0.2473 0.5773 0.3519
C 0.2531 0.5795 0.8545
C 0.7469 0.4205 0.1455
C 0.7527 0.4227 0.6481
O 0.0623 0.1734 0.3098
O 0.0639 0.1765 0.8081
O 0.2403 0.0379 0.6902
O 0.2405 0.0328 0.1941
O 0.2415 0.4399 0.4403
O 0.2454 0.9239 0.9674
O 0.2471 0.4427 0.9398
O 0.2470 0.9203 0.4693
O 0.2490 0.6352 0.2100
O 0.2493 0.6792 0.8983
O 0.2525 0.6781 0.3958
O 0.2617 0.6382 0.7107
O 0.4338 0.1655 0.3160
O 0.4357 0.1713 0.8019
O 0.5643 0.8287 0.1981
O 0.5662 0.8345 0.6840
O 0.7383 0.3618 0.2893
O 0.7475 0.3219 0.6042
O 0.7507 0.3208 0.1017
O 0.7510 0.3648 0.7900
O 0.7530 0.0797 0.5307
O 0.7529 0.5573 0.0602
O 0.7546 0.0761 0.0326
O 0.7585 0.5601 0.5597
O 0.7595 0.9672 0.8059
O 0.7597 0.9621 0.3098
O 0.9361 0.8235 0.1920
O 0.9377 0.8266 0.6902


Arrangement two

Crystalline Na3Ni2P2C2O14 at its relaxed geometry. Source: the Materials Project, functional GGA+U.

Summary:
**SG**: P1, No. 1

Cell: 8.2733 8.2845 9.0094 Å, 90.97 91.11 102.89°
Atoms (fractional coordinates):
Na 0.0000 0.0000 0.0000
Na 0.0037 0.5021 0.4939
Na 0.2418 0.7534 0.0069
Na 0.2534 0.2634 0.4836
Na 0.7145 0.2751 0.9951
Na 0.7312 0.7927 0.5029
Ni 0.1093 0.8642 0.5942
Ni 0.1449 0.3997 0.9007
Ni 0.6063 0.3639 0.5972
Ni 0.6399 0.8982 0.8940
P 0.3548 0.1124 0.8190
P 0.3875 0.6431 0.6763
P 0.8581 0.6194 0.8188
P 0.8942 0.1567 0.6725
C 0.1021 0.3677 0.1673
C 0.1389 0.8964 0.3260
C 0.6098 0.8686 0.1644
C 0.6388 0.4067 0.3291
O 0.0069 0.2763 0.0662
O 0.0247 0.7849 0.3866
O 0.0474 0.3028 0.7087
O 0.0840 0.3480 0.3038
O 0.1524 0.9129 0.1888
O 0.2078 0.9600 0.7840
O 0.2173 0.4790 0.1104
O 0.2359 0.9880 0.4239
O 0.2528 0.6949 0.5787
O 0.2883 0.2320 0.9222
O 0.3196 0.5761 0.8264
O 0.4246 0.1889 0.6740
O 0.4411 0.5109 0.5772
O 0.4860 0.0554 0.9174
O 0.5161 0.7729 0.0672
O 0.5276 0.2896 0.3832
O 0.5378 0.7896 0.7084
O 0.5915 0.8513 0.3006
O 0.6618 0.4257 0.1938
O 0.7128 0.4680 0.7849
O 0.7230 0.9832 0.1074
O 0.7282 0.5041 0.4298
O 0.7735 0.2243 0.5715
O 0.8052 0.7547 0.9133
O 0.8173 0.0876 0.8191
O 0.9252 0.6887 0.6678
O 0.9506 0.0246 0.5760
O 0.9916 0.5658 0.9164


Going by the energies, arrangement two is most stable and the next is 0.016 eV/atom up.


Arrangement one

Crystalline CaV2O4 at its relaxed geometry. Source: the Materials Project, functional GGA+U.

Summary:
**SG**: C2/m, No. 12

Cell: 7.0441 7.0441 9.3857 Å, 124.46 124.46 26.05°
Atoms (fractional coordinates):
Ca 0.1521 0.1521 0.1729
Ca 0.8479 0.8479 0.8271
V 0.1381 0.1381 0.8239
V 0.3652 0.3652 0.5317
V 0.6348 0.6348 0.4683
V 0.8619 0.8619 0.1761
O 0.0386 0.0386 0.3010
O 0.2606 0.2606 0.6172
O 0.3344 0.3344 0.9974
O 0.3664 0.3664 0.3161
O 0.6336 0.6336 0.6839
O 0.6656 0.6656 0.0026
O 0.7394 0.7394 0.3828
O 0.9614 0.9614 0.6990


Arrangement two

Crystalline CaV2O4 at its relaxed geometry. Source: the Materials Project, functional GGA+U.

Summary:
**SG**: Pmmn, No. 59

Cell: 6.0406 11.1507 5.2684 Å, 90.00 90.00 90.00°
Atoms (fractional coordinates):
Ca 0.2500 0.2500 0.0286
Ca 0.2500 0.7500 0.3447
Ca 0.7500 0.2500 0.6553
Ca 0.7500 0.7500 0.9714
V 0.0000 0.0000 0.5000
V 0.0000 0.5000 0.5000
V 0.2500 0.5107 0.9895
V 0.2500 0.9893 0.9895
V 0.5000 0.0000 0.5000
V 0.5000 0.5000 0.5000
V 0.7500 0.0107 0.0105
V 0.7500 0.4893 0.0105
O 0.0032 0.1038 0.8384
O 0.0032 0.3962 0.8384
O 0.2500 0.0877 0.3190
O 0.2500 0.4123 0.3190
O 0.2500 0.5989 0.6554
O 0.2500 0.9011 0.6554
O 0.4968 0.1038 0.8384
O 0.4968 0.3962 0.8384
O 0.5032 0.6038 0.1616
O 0.5032 0.8962 0.1616
O 0.7500 0.0989 0.3446
O 0.7500 0.4011 0.3446
O 0.7500 0.5877 0.6810
O 0.7500 0.9123 0.6810
O 0.9968 0.6038 0.1616
O 0.9968 0.8962 0.1616


Going by the energies, arrangement two is most stable and the next is 0.102 eV/atom up.


Arrangement one

Crystalline CaV2O4 at its relaxed geometry. Source: the Materials Project, functional GGA+U.

Summary:
**SG**: Pnma, No. 62

Cell: 9.2760 3.0939 10.8365 Å, 90.00 90.00 90.00°
Atoms (fractional coordinates):
Ca 0.2438 0.2500 0.1526
Ca 0.2562 0.7500 0.6526
Ca 0.7438 0.2500 0.3474
Ca 0.7562 0.7500 0.8474
V 0.0654 0.2500 0.3872
V 0.0824 0.2500 0.8947
V 0.4176 0.7500 0.3947
V 0.4346 0.7500 0.8872
V 0.5654 0.2500 0.1128
V 0.5824 0.2500 0.6053
V 0.9176 0.7500 0.1053
V 0.9346 0.7500 0.6128
O 0.0252 0.7500 0.7825
O 0.0810 0.2500 0.5723
O 0.1175 0.7500 0.0249
O 0.2073 0.7500 0.3341
O 0.2927 0.2500 0.8341
O 0.3825 0.2500 0.5249
O 0.4190 0.7500 0.0723
O 0.4748 0.2500 0.2825
O 0.5252 0.7500 0.7175
O 0.5810 0.2500 0.9277
O 0.6175 0.7500 0.4751
O 0.7073 0.7500 0.1659
O 0.7927 0.2500 0.6659
O 0.8825 0.2500 0.9751
O 0.9190 0.7500 0.4277
O 0.9748 0.2500 0.2175


Arrangement two

Crystalline CaV2O4 at its relaxed geometry. Source: the Materials Project, functional GGA+U.

Summary:
**SG**: Cmcm, No. 63

Cell: 5.1894 5.1894 10.1117 Å, 90.00 90.00 145.30°
Atoms (fractional coordinates):
Ca 0.1144 0.8856 0.7500
Ca 0.8856 0.1144 0.2500
V 0.3678 0.6322 0.5699
V 0.3678 0.6322 0.9301
V 0.6322 0.3678 0.0699
V 0.6322 0.3678 0.4301
O 0.0000 0.0000 0.0000
O 0.0000 0.0000 0.5000
O 0.2684 0.7316 0.1068
O 0.2684 0.7316 0.3932
O 0.4332 0.5668 0.7500
O 0.5668 0.4332 0.2500
O 0.7316 0.2684 0.6068
O 0.7316 0.2684 0.8932


Going by the energies, arrangement one is most stable and the next is 0.031 eV/atom up.


Arrangement one

Crystalline Li2CoSi3O8 at its relaxed geometry. Source: the Materials Project, functional GGA+U.

Summary:
**Largest piezoelectric modulus**: 1.809 C/m2
**SG**: P2_1, No. 4

Cell: 6.2849 8.5492 6.5801 Å, 90.00 104.90 90.00°
Atoms (fractional coordinates):
Li 0.0888 0.0000 0.4921
Li 0.3484 0.5138 0.2368
Li 0.6516 0.0138 0.7632
Li 0.9112 0.5000 0.5079
Co 0.4571 0.3394 0.5984
Co 0.5429 0.8394 0.4016
Si 0.0823 0.8336 0.9893
Si 0.2544 0.1484 0.8917
Si 0.3408 0.6710 0.7300
Si 0.6592 0.1710 0.2700
Si 0.7456 0.6484 0.1083
Si 0.9177 0.3336 0.0107
O 0.0677 0.0110 0.8862
O 0.1122 0.7119 0.8033
O 0.1713 0.3081 0.9888
O 0.2523 0.8151 0.2127
O 0.2740 0.1665 0.6531
O 0.2771 0.5337 0.5524
O 0.4376 0.8326 0.6608
O 0.4913 0.0976 0.0498
O 0.5087 0.5976 0.9502
O 0.5624 0.3326 0.3392
O 0.7229 0.0337 0.4476
O 0.7260 0.6665 0.3469
O 0.7477 0.3151 0.7873
O 0.8287 0.8081 0.0112
O 0.8878 0.2119 0.1967
O 0.9323 0.5110 0.1138


Arrangement two

Crystalline Li2CoSi3O8 at its relaxed geometry. Source: the Materials Project, functional GGA+U.

Cell: 6.6873 13.0986 8.6471 Å, 90.00 90.00 106.24°
Atoms (fractional coordinates):
Li 0.2587 0.4401 0.3026
Li 0.2584 0.9400 0.3027
Li 0.7415 0.0600 0.8027
Li 0.7413 0.5599 0.8027
Li 0.5035 0.2581 0.7659
Li 0.5034 0.7582 0.7659
Li 0.4966 0.2418 0.2659
Li 0.4965 0.7418 0.2659
Co 0.3864 0.5206 0.9991
Co 0.6139 0.4794 0.4992
Co 0.3863 0.0207 0.9992
Co 0.6135 0.9793 0.4991
Si 0.0345 0.1990 0.5281
Si 0.0346 0.6991 0.5282
Si 0.9654 0.3008 0.0282
Si 0.9656 0.8010 0.0281
Si 0.0905 0.1268 0.1954
Si 0.0906 0.6268 0.1955
Si 0.9095 0.3731 0.6955
Si 0.9095 0.8732 0.6955
Si 0.2862 0.0681 0.6619
Si 0.2862 0.5681 0.6619
Si 0.7138 0.4319 0.1619
Si 0.7138 0.9319 0.1619
O 0.0714 0.4885 0.7390
O 0.0713 0.9885 0.7390
O 0.9287 0.0114 0.2389
O 0.9286 0.5115 0.2388
O 0.9868 0.1804 0.0566
O 0.9871 0.6805 0.0567
O 0.0129 0.3194 0.5567
O 0.0132 0.8196 0.5566
O 0.1153 0.2053 0.3472
O 0.1155 0.7054 0.3473
O 0.8844 0.2947 0.8473
O 0.8848 0.7947 0.8472
O 0.1737 0.3920 0.0683
O 0.1739 0.8922 0.0683
O 0.8263 0.1078 0.5683
O 0.8261 0.6080 0.5684
O 0.2344 0.1854 0.6341
O 0.2343 0.6854 0.6342
O 0.7656 0.3146 0.1342
O 0.7657 0.8146 0.1341
O 0.3218 0.1183 0.1565
O 0.3219 0.6182 0.1567
O 0.6782 0.3818 0.6566
O 0.6781 0.8816 0.6568
O 0.3511 0.0213 0.5030
O 0.3510 0.5213 0.5031
O 0.6488 0.4786 0.0030
O 0.6488 0.9788 0.0031
O 0.4639 0.0976 0.7968
O 0.4639 0.5977 0.7969
O 0.5360 0.4024 0.2967
O 0.5360 0.9022 0.2968


Going by the energies, arrangement two is most stable and the next is 0.016 eV/atom up.